## Sm2Ga3Cu (r²SCAN)

Data for crystalline Sm2Ga3Cu at its relaxed geometry.

```
6
Lattice="2.189 -3.791 0.000 2.189 3.791 0.000 0.000 0.000 7.496" Properties=species:S:1:pos:R:3 pbc="T T T"
Sm 0.000 0.000 5.483
Sm 0.000 0.000 1.971
Ga 2.189 -1.264 7.166
Ga 2.189 1.264 0.310
Ga 2.189 1.264 3.606
Cu 2.189 -1.264 3.951
```

DFT total energy in eV per atom: -18.11
DFT formation energy in meV/atom: -666
Relative energy among the computed polymorphs in meV/atom: 0